Density functional theory data (PBE+U) for a relaxed structure of Li9Mn2Co5O16.

Cell lengths 2.8925, 10.2570, 10.6892 Å; angles 113.01, 96.66, 91.06 degrees
Last column: nearest neighbours and their distance in Å.
Atoms (fractional coordinates):
Li  0.1237  0.9275  0.2451  5 O 1.99-2.22
Li  0.8783  0.0673  0.7589  5 O 2.00-2.22
Li  0.6101  0.1901  0.2396  5 O 2.05-2.24
Li  0.6106  0.6690  0.2298  5 O 2.03-2.24
Li  0.3841  0.8117  0.7535  6 O 2.10-2.18
Li  0.1134  0.4378  0.2450  5 O 2.01-2.19
Li  0.8871  0.5673  0.7570  5 O 2.00-2.22
Li  0.3916  0.3282  0.7706  5 O 2.05-2.27
Li  0.0006  0.5000  0.0004  6 O 2.08-2.16
Mn  0.0009  0.9996  0.0006  6 O 1.94-1.96
Mn  0.7516  0.1251  0.4999  6 O 1.93-1.96
Co  0.5048  0.2724  0.0067  3 O 1.78-1.98
Co  0.2633  0.3788  0.5007  5 O 1.90-2.08
Co  0.7521  0.6275  0.4995  6 O 1.92-2.13
Co  0.4954  0.7272  0.9935  3 O 1.79-1.97
Co  0.2406  0.8725  0.5001  6 O 1.96-2.13
O  0.5509  0.9744  0.1116  2 Mn 1.94-1.95, 1 Li 2.09
O  0.2998  0.0974  0.6100  2 Mn 1.94-1.96, 1 Co 2.13
O  0.0525  0.2028  0.1079  1 Mn 1.94, 2 Li 2.05, 2 Co 2.07-2.11
O  0.0524  0.7241  0.1177  2 Co 1.96-1.97, 4 Li 1.99-2.14
O  0.8128  0.8428  0.6178  3 Co 1.96-2.06, 3 Li 2.12-2.19
O  0.5586  0.4552  0.1208  1 Co 1.78
O  0.3254  0.5901  0.6134  3 Co 1.96-2.07, 3 Li 2.17-2.18
O  0.8300  0.3305  0.6089  1 Mn 1.96, 2 Co 1.98-2.08
O  0.6777  0.9236  0.3898  1 Mn 1.93, 2 Co 2.02-2.09, 2 Li 2.11-2.14
O  0.4508  0.0263  0.8896  2 Mn 1.94-1.96, 2 Li 2.10-2.12
O  0.2037  0.1534  0.3900  2 Mn 1.94-1.96, 1 Co 2.14
O  0.1682  0.6588  0.3847  3 Co 1.92-2.08
O  0.9487  0.7964  0.8939  1 Mn 1.94, 2 Co 2.06-2.09, 2 Li 2.12-2.14
O  0.6736  0.4044  0.3841  3 Co 1.90-2.13, 1 Li 2.13
O  0.4400  0.5439  0.8773  1 Co 1.79, 1 Li 2.00
O  0.9468  0.2739  0.8817  2 Co 1.96-1.98, 4 Li 2.00-2.16

Computed properties:
M_tot: 14.0 Bohr magnetons per cell
SG: No. 1
Theoretical density: 4.2 Mg/m³
Energy above the most stable polymorph in this dataset: 58 meV/atom

Density functional theory data (PBE+U) for a relaxed structure of HoZnCo2O6.

Cell lengths 5.4749, 5.1556, 8.9818 Å; angles 56.45, 90.00, 90.00 degrees
Last column: nearest neighbours and their distance in Å.
Atoms (fractional coordinates):
Ho  0.3274  0.7730  0.2472  6 O 2.24-2.44
Ho  0.6726  0.7730  0.7472  6 O 2.24-2.44
Zn  0.7954  0.2335  0.2517  3 O 2.02-2.11
Zn  0.2046  0.2335  0.7517  3 O 2.02-2.11
Co  0.7629  0.0024  0.9988  4 O 1.83-2.05
Co  0.7644  0.4990  0.5009  5 O 1.86-2.02
Co  0.2371  0.0024  0.4988  4 O 1.83-2.05
Co  0.2356  0.4990  0.0009  5 O 1.86-2.02
O  0.8001  0.3690  0.7390  2 Co 1.86-2.05
O  0.0554  0.1370  0.0615  2 Co 1.91-1.95
O  0.0629  0.7693  0.4394  2 Co 1.83-2.02
O  0.5716  0.2420  0.0591  1 Co 1.91, 1 Zn 2.10
O  0.5672  0.8689  0.4411  2 Co 1.99-2.10, 1 Zn 2.11
O  0.2803  0.6078  0.7609  2 Co 1.92-2.11, 1 Zn 2.02
O  0.1999  0.3690  0.2390  2 Co 1.86-2.05
O  0.9446  0.1370  0.5615  2 Co 1.91-1.95
O  0.9371  0.7693  0.9394  2 Co 1.83-2.02
O  0.4328  0.8689  0.9411  2 Co 1.99-2.10, 1 Zn 2.11
O  0.4284  0.2420  0.5591  1 Co 1.91, 1 Zn 2.10
O  0.7197  0.6078  0.2609  2 Co 1.92-2.11, 1 Zn 2.02

Computed properties:
M_tot: 2.0 Bohr magnetons per cell
SG: No. 7
Theoretical density: 7.0 Mg/m³
Final energy: -6.12 eV per atom

Density functional theory data (PBE+U) for a relaxed structure of Ni3P4O14.

Cell lengths 9.0039, 10.2640, 12.5934 Å; angles 90.00, 90.00, 90.00 degrees
Last column: nearest neighbours and their distance in Å.
Atoms (fractional coordinates):
Ni  0.2460  0.6208  0.7500  6 O 2.08-2.11
Ni  0.2479  0.1189  0.0165  6 O 1.99-2.13
Ni  0.2479  0.1189  0.4835  6 O 1.99-2.13
Ni  0.2521  0.6189  0.5165  6 O 1.99-2.13
Ni  0.2521  0.6189  0.9835  6 O 1.99-2.13
Ni  0.2540  0.1208  0.2500  6 O 2.08-2.11
Ni  0.7460  0.8792  0.7500  6 O 2.08-2.11
Ni  0.7479  0.3811  0.0165  6 O 1.99-2.13
Ni  0.7479  0.3811  0.4835  6 O 1.99-2.13
Ni  0.7521  0.8811  0.5165  6 O 1.99-2.13
Ni  0.7521  0.8811  0.9835  6 O 1.99-2.13
Ni  0.7540  0.3792  0.2500  6 O 2.08-2.11
P  0.0733  0.3662  0.6294  4 O 1.51-1.62
P  0.0733  0.3662  0.8706  4 O 1.51-1.62
P  0.0857  0.8805  0.6353  4 O 1.50-1.62
P  0.0857  0.8805  0.8647  4 O 1.50-1.62
P  0.4143  0.3805  0.3647  4 O 1.50-1.62
P  0.4143  0.3805  0.1353  4 O 1.50-1.62
P  0.4267  0.8662  0.1294  4 O 1.51-1.62
P  0.4267  0.8662  0.3706  4 O 1.51-1.62
P  0.5733  0.1338  0.8706  4 O 1.51-1.62
P  0.5733  0.1338  0.6294  4 O 1.51-1.62
P  0.5857  0.6195  0.8647  4 O 1.50-1.62
P  0.5857  0.6195  0.6353  4 O 1.50-1.62
P  0.9143  0.1195  0.1353  4 O 1.50-1.62
P  0.9143  0.1195  0.3647  4 O 1.50-1.62
P  0.9267  0.6338  0.1294  4 O 1.51-1.62
P  0.9267  0.6338  0.3706  4 O 1.51-1.62
O  0.0460  0.3182  0.7500  2 P 1.62
O  0.0777  0.6075  0.4189  1 P 1.51
O  0.0777  0.6075  0.0811  1 P 1.51
O  0.0855  0.1295  0.1350  1 P 1.54
O  0.0855  0.1295  0.3650  1 P 1.54
O  0.1304  0.9411  0.7500  2 P 1.62
O  0.1448  0.9682  0.5504  1 P 1.50
O  0.1448  0.9682  0.9496  1 P 1.50
O  0.1543  0.2573  0.5734  1 P 1.51
O  0.1543  0.2573  0.9266  1 P 1.51
O  0.1565  0.7434  0.6315  1 P 1.55
O  0.1565  0.7434  0.8685  1 P 1.55
O  0.1669  0.4921  0.6354  1 P 1.54
O  0.1669  0.4921  0.8646  1 P 1.54
O  0.3331  0.9921  0.1354  1 P 1.54
O  0.3331  0.9921  0.3646  1 P 1.54
O  0.3435  0.2434  0.1315  1 P 1.55
O  0.3435  0.2434  0.3685  1 P 1.55
O  0.3457  0.7573  0.0734  1 P 1.51
O  0.3457  0.7573  0.4266  1 P 1.51
O  0.3552  0.4682  0.0504  1 P 1.50
O  0.3552  0.4682  0.4496  1 P 1.50
O  0.3696  0.4411  0.2500  2 P 1.62
O  0.4145  0.6295  0.6350  1 P 1.54
O  0.4145  0.6295  0.8650  1 P 1.54
O  0.4223  0.1075  0.5811  1 P 1.51
O  0.4223  0.1075  0.9189  1 P 1.51
O  0.4540  0.8182  0.2500  2 P 1.62
O  0.5460  0.1818  0.7500  2 P 1.62
O  0.5777  0.8925  0.0811  1 P 1.51
O  0.5777  0.8925  0.4189  1 P 1.51
O  0.5855  0.3705  0.1350  1 P 1.54
O  0.5855  0.3705  0.3650  1 P 1.54
O  0.6304  0.5589  0.7500  2 P 1.62
O  0.6448  0.5318  0.5504  1 P 1.50
O  0.6448  0.5318  0.9496  1 P 1.50
O  0.6543  0.2427  0.5734  1 P 1.51
O  0.6543  0.2427  0.9266  1 P 1.51
O  0.6565  0.7566  0.8685  1 P 1.55
O  0.6565  0.7566  0.6315  1 P 1.55
O  0.6669  0.0079  0.8646  1 P 1.54
O  0.6669  0.0079  0.6354  1 P 1.54
O  0.8331  0.5079  0.1354  1 P 1.54
O  0.8331  0.5079  0.3646  1 P 1.54
O  0.8435  0.2566  0.1315  1 P 1.55
O  0.8435  0.2566  0.3685  1 P 1.55
O  0.8457  0.7427  0.0734  1 P 1.51
O  0.8457  0.7427  0.4266  1 P 1.51
O  0.8552  0.0318  0.0504  1 P 1.50
O  0.8552  0.0318  0.4496  1 P 1.50
O  0.8696  0.0589  0.2500  2 P 1.62
O  0.9145  0.8705  0.6350  1 P 1.54
O  0.9145  0.8705  0.8650  1 P 1.54
O  0.9223  0.3925  0.9189  1 P 1.51
O  0.9223  0.3925  0.5811  1 P 1.51
O  0.9540  0.6818  0.2500  2 P 1.62

Computed properties:
M_tot: 32.0 Bohr magnetons per cell
SG: No. 62
Theoretical density: 3.0 Mg/m³
Energy above the most stable polymorph in this dataset: 9 meV/atom

Density functional theory data (PBE+U) for a relaxed structure of V2Zn2O5.

Cell lengths 3.5173, 5.6719, 10.8745 Å; angles 90.00, 90.00, 90.00 degrees
Last column: nearest neighbours and their distance in Å.
Atoms (fractional coordinates):
V  0.5000  0.2608  0.1370  4 O 1.93-2.02
V  0.5000  0.7392  0.8630  4 O 1.93-2.02
V  0.5000  0.2392  0.6370  4 O 1.93-2.02
V  0.5000  0.7608  0.3630  4 O 1.93-2.02
Zn  0.0000  0.2856  0.4005  4 O 2.02-2.15
Zn  0.0000  0.7144  0.5995  4 O 2.02-2.15
Zn  0.0000  0.7856  0.0995  4 O 2.02-2.15
Zn  0.0000  0.2144  0.9005  4 O 2.02-2.15
O  0.5000  0.5000  0.0000  2 V 2.02
O  0.5000  0.1347  0.8056  1 V 1.93, 2 Zn 2.09
O  0.5000  0.6347  0.6944  1 V 1.93, 2 Zn 2.09
O  0.5000  0.3653  0.3056  1 V 1.93, 2 Zn 2.09
O  0.0000  0.3357  0.5843  2 V 1.93, 2 Zn 2.02-2.15
O  0.0000  0.6643  0.4157  2 V 1.93, 2 Zn 2.02-2.15
O  0.5000  0.8653  0.1945  1 V 1.93, 2 Zn 2.09
O  0.0000  0.1643  0.0843  2 V 1.93, 2 Zn 2.02-2.15
O  0.5000  0.0000  0.5000  2 V 2.02
O  0.0000  0.8357  0.9157  2 V 1.93, 2 Zn 2.02-2.15

Computed properties:
M_tot: 8.0 Bohr magnetons per cell
SG: No. 55
Theoretical density: 4.8 Mg/m³
Final energy: -6.19 eV per atom